Record 1
A plane-wave DFT calculation with PBE with a Hubbard U was carried out for a relaxed structure of Si2NiO6.

E (MP2020) = -7.3344 eV per atom
ΔE to the lowest computed polymorph = 0.043 eV/atom
E_tot = -474.77 eV/cell
Formation energy from the elements = -2187.9 meV/atom
Magnetization = 32.00 μB per cell

Lattice parameters (Å, degrees): 5.1057 18.4490 10.7354 90.00 90.00 90.00
Space group Pbca (No. 61)
Asymmetric unit:
Si  0.1205  0.2226  0.1692 (multiplicity 8)
Si  0.2386  0.0265  0.3294 (multiplicity 8)
Ni  0.0621  0.6256  0.9559 (multiplicity 8)
O  0.0345  0.0469  0.2169 (multiplicity 8)
O  0.1431  0.1909  0.6331 (multiplicity 8)
O  0.1730  0.7034  0.2819 (multiplicity 8)
O  0.1761  0.0744  0.4545 (multiplicity 8)
O  0.1884  0.1783  0.0413 (multiplicity 8)
O  0.2353  0.5602  0.8599 (multiplicity 8)

Record 2
A plane-wave DFT calculation with PBE with a Hubbard U was carried out for a relaxed structure of Li2TiCr3O8.

E (MP2020) = -8.2387 eV per atom
ΔE to the lowest computed polymorph = 0.063 eV/atom
E_tot = -207.70 eV/cell
Formation energy from the elements = -2506.1 meV/atom
Magnetization = 16.00 μB per cell

Lattice parameters (Å, degrees): 5.8724 5.9475 8.6615 92.28 90.08 90.03
Space group P-1 (No. 2)
Asymmetric unit:
Li  0.0000  0.0000  0.0000 (multiplicity 1)
Li  0.0000  0.5000  0.5000 (multiplicity 1)
Li  0.5000  0.0000  0.0000 (multiplicity 1)
Li  0.5000  0.5000  0.5000 (multiplicity 1)
Ti  0.2495  0.2454  0.7505 (multiplicity 2)
Cr  0.0000  0.0000  0.5000 (multiplicity 1)
Cr  0.0000  0.5000  0.0000 (multiplicity 1)
Cr  0.2500  0.7482  0.2503 (multiplicity 2)
Cr  0.5000  0.0000  0.5000 (multiplicity 1)
Cr  0.5000  0.5000  0.0000 (multiplicity 1)
O  0.0040  0.5343  0.2368 (multiplicity 2)
O  0.0044  0.9678  0.2632 (multiplicity 2)
O  0.2503  0.2342  0.5232 (multiplicity 2)
O  0.2501  0.2643  0.9772 (multiplicity 2)
O  0.2502  0.7344  0.0214 (multiplicity 2)
O  0.2500  0.7660  0.4794 (multiplicity 2)
O  0.4931  0.5346  0.2356 (multiplicity 2)
O  0.4944  0.9677  0.2633 (multiplicity 2)

Record 3
A plane-wave DFT calculation with PBE with a Hubbard U was carried out for a relaxed structure of Mg2W3O8.

E (MP2020) = -8.5438 eV per atom
ΔE to the lowest computed polymorph = 0.000 eV/atom
E_tot = -184.52 eV/cell
Formation energy from the elements = -2262.4 meV/atom
Magnetization = 0.00 μB per cell

Lattice parameters (Å, degrees): 6.2475 6.2475 9.6187 90.00 90.00 120.00
Space group P6_3mc (No. 186)
Asymmetric unit:
Mg  0.3333  0.6667  0.0000 (multiplicity 2)
Mg  0.3333  0.6667  0.3799 (multiplicity 2)
W  0.1680  0.3360  0.7131 (multiplicity 6)
O  0.0000  0.0000  0.3223 (multiplicity 2)
O  0.0383  0.5192  0.8475 (multiplicity 6)
O  0.1707  0.3414  0.1204 (multiplicity 6)
O  0.3333  0.6667  0.5908 (multiplicity 2)

Record 4
A plane-wave DFT calculation with PBE with a Hubbard U was carried out for a relaxed structure of BaSrNdCrO6.

E (MP2020) = -7.5394 eV per atom
ΔE to the lowest computed polymorph = 0.043 eV/atom
E_tot = -277.09 eV/cell
Formation energy from the elements = -2767.6 meV/atom
Magnetization = 4.00 μB per cell

Lattice parameters (Å, degrees): 8.4086 8.4086 8.4086 90.00 90.00 90.00
Space group F-43m (No. 216)
Asymmetric unit:
Ba  0.0000  0.0000  0.0000 (multiplicity 4)
Sr  0.0000  0.0000  0.5000 (multiplicity 4)
Nd  0.2500  0.2500  0.2500 (multiplicity 4)
Cr  0.2500  0.2500  0.7500 (multiplicity 4)
O  0.0242  0.2500  0.7500 (multiplicity 24)